(1)
! Li3NiF6 | the Materials Project database | meta-GGA r2SCAN | relaxed; values from VASP
&SYSTEM
  ibrav = 0, nat = 40, ntyp = 3
/
ATOMIC_SPECIES
Li 6.94 Li.upf
Ni 58.69 Ni.upf
F 19.00 F.upf
CELL_PARAMETERS angstrom
-4.347 -1.241 -1.962
3.374 0.210 -7.606
2.258 -9.096 0.750
ATOMIC_POSITIONS angstrom
Li -0.539 -4.472 -8.262
Li -0.285 -6.257 -1.508
Li -0.201 -9.069 -6.102
Li -0.622 -1.660 -3.667
Li -2.123 -2.459 -6.060
Li 1.275 -8.277 -3.721
Li 0.325 -6.925 -8.659
Li -1.173 -3.811 -1.121
Li 3.409 -0.747 -7.114
Li 0.024 -8.767 -0.734
Li 3.223 -5.377 -3.776
Li 0.210 -4.137 -4.072
Ni 0.632 -1.645 -6.520
Ni -1.501 -9.097 -3.271
Ni 1.817 -6.189 -6.273
Ni -2.687 -4.553 -3.518
F -0.950 -0.826 -5.735
F 2.881 -9.117 -2.791
F 1.320 -5.303 -7.932
F 0.611 -4.639 -0.594
F 0.905 -2.413 -4.791
F -0.476 -7.959 -4.413
F 3.297 -6.882 -7.264
F -2.868 -3.489 -1.941
F 0.276 -0.818 -8.157
F 1.865 -9.065 -0.274
F 0.349 -5.432 -5.401
F 1.793 -4.451 -3.030
F -0.513 -3.058 -7.015
F 1.233 -7.230 -2.058
F 0.710 -7.601 -6.854
F 0.009 -2.688 -2.219
F -1.642 -3.210 -4.396
F 2.379 -7.074 -4.670
F -1.477 -7.818 -1.846
F 2.214 -2.466 -7.219
F 1.828 -0.266 -5.984
F 0.153 -9.663 -2.520
F 2.989 -4.812 -5.683
F -1.009 -5.117 -2.821
! ΔH_f (0 K) in meV/atom: -2687
! Crystal system: orthorhombic



(2)
! PaAlRu2 | the Materials Project database | meta-GGA r2SCAN | relaxed; values from VASP
&SYSTEM
  ibrav = 0, nat = 4, ntyp = 3
/
ATOMIC_SPECIES
Pa 231.04 Pa.upf
Al 26.98 Al.upf
Ru 101.07 Ru.upf
CELL_PARAMETERS angstrom
0.000 3.252 3.252
3.252 0.000 3.252
3.252 3.252 0.000
ATOMIC_POSITIONS angstrom
Pa 4.878 4.878 4.878
Al 1.626 1.626 1.626
Ru 0.000 0.000 0.000
Ru 3.252 3.252 3.252
! ΔH_f (0 K) in meV/atom: -605
! Crystal system: cubic



(3)
! SrBi6P4O20 | the Materials Project database | meta-GGA r2SCAN | relaxed; values from VASP
&SYSTEM
  ibrav = 0, nat = 31, ntyp = 4
/
ATOMIC_SPECIES
Sr 87.62 Sr.upf
Bi 208.98 Bi.upf
P 30.97 P.upf
O 16.00 O.upf
CELL_PARAMETERS angstrom
6.966 0.020 -0.017
-2.873 7.048 -0.002
-0.522 -3.123 8.582
ATOMIC_POSITIONS angstrom
Sr -1.436 3.524 -0.001
Bi 0.421 -0.707 5.756
Bi 1.406 2.162 7.834
Bi 0.239 2.839 4.347
Bi 3.150 4.653 2.807
Bi 2.165 1.784 0.729
Bi 3.332 1.107 4.216
P -2.270 3.062 6.487
P 3.876 -1.593 6.352
P 5.840 0.884 2.076
P -0.305 5.539 2.211
O 0.034 5.579 0.717
O 1.418 1.349 5.452
O 4.998 -0.556 6.162
O -0.858 2.424 6.506
O 1.477 4.074 5.862
O 3.738 2.128 7.197
O 2.975 6.537 1.426
O 0.589 0.057 7.739
O -0.167 1.817 1.366
O 0.915 5.093 3.041
O 2.094 -0.128 2.701
O 2.982 3.889 0.824
O 4.300 3.213 4.977
O 0.596 -2.591 7.137
O -1.427 4.501 2.401
O 2.153 2.597 3.111
O 3.537 -1.633 7.846
O 4.429 1.522 2.056
O 2.656 -1.147 5.522
O -0.729 0.733 3.586
! ΔH_f (0 K) in meV/atom: -2137
! Crystal system: triclinic